Entry 1:
This record from Materials Project describes crystalline Fe3H16C4Se4N4 at its relaxed geometry. The functional is PBE.

Calculated values
E: -5.487 eV/atom
spin magnetization: 12.0 μB per cell
energy of formation: -0.25 eV per atom

Cell lengths 9.4730, 9.4730, 11.6061 Å; angles 119.88, 119.88, 49.18 degrees
Element x y z (fractional)
Fe 0.0000 0.5000 0.5000
Fe 0.0164 0.9791 0.8750
Fe 0.0209 0.9836 0.6250
Fe 0.5000 0.0000 0.0000
Fe 0.9791 0.0164 0.3750
Fe 0.9836 0.0209 0.1250
H 0.0579 0.3286 0.6541
H 0.0816 0.5170 0.7516
H 0.1349 0.3588 0.1122
H 0.2494 0.3977 0.2930
H 0.2755 0.5255 0.5380
H 0.2823 0.5439 0.1834
H 0.2990 0.3360 0.9652
H 0.3286 0.0579 0.1541
H 0.3360 0.2990 0.4652
H 0.3545 0.5093 0.7556
H 0.3588 0.1349 0.6122
H 0.3977 0.2494 0.7930
H 0.4561 0.7177 0.3166
H 0.4745 0.7245 0.9620
H 0.4830 0.9184 0.7484
H 0.4907 0.6455 0.7444
H 0.5093 0.3545 0.2556
H 0.5170 0.0816 0.2516
H 0.5255 0.2755 0.0380
H 0.5439 0.2823 0.6834
H 0.6023 0.7506 0.2070
H 0.6412 0.8651 0.3878
H 0.6455 0.4907 0.2444
H 0.6640 0.7010 0.5348
H 0.6714 0.9421 0.8459
H 0.7010 0.6640 0.0348
H 0.7177 0.4561 0.8166
H 0.7245 0.4745 0.4620
H 0.7506 0.6023 0.7070
H 0.8651 0.6412 0.8878
H 0.9184 0.4830 0.2484
H 0.9421 0.6714 0.3459
C 0.2741 0.3249 0.1901
C 0.3249 0.2741 0.6901
C 0.3729 0.3882 0.1746
C 0.3882 0.3729 0.6746
C 0.6118 0.6271 0.3254
C 0.6271 0.6118 0.8254
C 0.6751 0.7259 0.3099
C 0.7259 0.6751 0.8099
Se 0.0843 0.1740 0.3571
Se 0.1740 0.0843 0.8571
Se 0.2164 0.7498 0.0017
Se 0.2502 0.7836 0.4983
Se 0.7498 0.2164 0.5017
Se 0.7836 0.2502 0.9983
Se 0.8260 0.9157 0.1429
Se 0.9157 0.8260 0.6429
N 0.1117 0.4017 0.6657
N 0.2722 0.4195 0.5394
N 0.4017 0.1117 0.1657
N 0.4195 0.2722 0.0394
N 0.5805 0.7278 0.9606
N 0.5983 0.8883 0.8343
N 0.7278 0.5805 0.4606
N 0.8883 0.5983 0.3343


Entry 2:
This record from Materials Project describes crystalline Ce3MnBi5 at its relaxed geometry. The functional is PBE.

Calculated values
E: -5.657 eV/atom
spin magnetization: 12.2 μB per cell
energy of formation: -0.50 eV per atom

Cell lengths 9.4088, 9.4088, 6.4337 Å; angles 90.00, 90.00, 120.00 degrees
Element x y z (fractional)
Ce 0.0000 0.3815 0.2500
Ce 0.0000 0.6185 0.7500
Ce 0.3815 0.0000 0.2500
Ce 0.3815 0.3815 0.7500
Ce 0.6185 0.0000 0.7500
Ce 0.6185 0.6185 0.2500
Mn 0.0000 0.0000 0.0000
Mn 0.0000 0.0000 0.5000
Bi 0.0000 0.2459 0.7500
Bi 0.0000 0.7541 0.2500
Bi 0.2459 0.0000 0.7500
Bi 0.2459 0.2459 0.2500
Bi 0.3333 0.6667 0.0000
Bi 0.3333 0.6667 0.5000
Bi 0.6667 0.3333 0.0000
Bi 0.6667 0.3333 0.5000
Bi 0.7541 0.0000 0.2500
Bi 0.7541 0.7541 0.7500


Entry 3:
This record from Materials Project describes crystalline ZrCrS4 at its relaxed geometry. The functional is PBE.

Calculated values
E: -6.748 eV/atom
spin magnetization: 4.0 μB per cell
energy of formation: -1.29 eV per atom

Cell lengths 7.0734, 7.0734, 7.0734 Å; angles 121.30, 117.61, 90.98 degrees
Element x y z (fractional)
Zr 0.0000 0.0000 0.0000
Zr 0.5000 0.0000 0.5000
Cr 0.5000 0.0000 0.0000
Cr 0.5000 0.5000 0.5000
S 0.2567 0.2666 0.5099
S 0.2567 0.7467 0.9901
S 0.2700 0.7433 0.5267
S 0.2833 0.2567 0.0267
S 0.7167 0.7433 0.9733
S 0.7300 0.2567 0.4733
S 0.7433 0.2533 0.0099
S 0.7433 0.7334 0.4901


Entry 4:
This record from Materials Project describes crystalline CsLiUP2S8 at its relaxed geometry. The functional is PBE.

Calculated values
E: -5.295 eV/atom
spin magnetization: 12.0 μB per cell
energy of formation: -1.14 eV per atom

Cell lengths 13.2401, 13.2401, 13.2401 Å; angles 72.46, 72.46, 72.46 degrees
Element x y z (fractional)
Cs 0.0774 0.0774 0.0774
Cs 0.2500 0.2500 0.2500
Cs 0.4226 0.4226 0.4226
Cs 0.5774 0.5774 0.5774
Cs 0.7500 0.7500 0.7500
Cs 0.9226 0.9226 0.9226
Li 0.1111 0.7500 0.3889
Li 0.2500 0.6111 0.8889
Li 0.3889 0.1111 0.7500
Li 0.6111 0.8889 0.2500
Li 0.7500 0.3889 0.1111
Li 0.8889 0.2500 0.6111
U 0.0866 0.4134 0.7500
U 0.2500 0.9134 0.5866
U 0.4134 0.7500 0.0866
U 0.5866 0.2500 0.9134
U 0.7500 0.0866 0.4134
U 0.9134 0.5866 0.2500
P 0.1251 0.6893 0.6729
P 0.1729 0.1893 0.6251
P 0.1893 0.6251 0.1729
P 0.3107 0.3271 0.8749
P 0.3271 0.8749 0.3107
P 0.3749 0.8271 0.8107
P 0.6251 0.1729 0.1893
P 0.6729 0.1251 0.6893
P 0.6893 0.6729 0.1251
P 0.8107 0.3749 0.8271
P 0.8271 0.8107 0.3749
P 0.8749 0.3107 0.3271
S 0.0459 0.8501 0.6636
S 0.0796 0.1144 0.5856
S 0.0856 0.6144 0.5796
S 0.0884 0.5943 0.8265
S 0.0943 0.5884 0.3265
S 0.1144 0.5856 0.0796
S 0.1273 0.1900 0.7882
S 0.1499 0.3364 0.9541
S 0.1636 0.3501 0.5459
S 0.1735 0.9116 0.4057
S 0.1900 0.7882 0.1273
S 0.2118 0.8727 0.8100
S 0.2882 0.6900 0.6273
S 0.3100 0.3727 0.7118
S 0.3265 0.0943 0.5884
S 0.3364 0.9541 0.1499
S 0.3501 0.5459 0.1636
S 0.3727 0.7118 0.3100
S 0.3856 0.4204 0.9144
S 0.4057 0.1735 0.9116
S 0.4116 0.6735 0.9057
S 0.4144 0.9204 0.8856
S 0.4204 0.9144 0.3856
S 0.4541 0.8364 0.6499
S 0.5459 0.1636 0.3501
S 0.5796 0.0856 0.6144
S 0.5856 0.0796 0.1144
S 0.5884 0.3265 0.0943
S 0.5943 0.8265 0.0884
S 0.6144 0.5796 0.0856
S 0.6273 0.2882 0.6900
S 0.6499 0.4541 0.8364
S 0.6636 0.0459 0.8501
S 0.6735 0.9057 0.4116
S 0.6900 0.6273 0.2882
S 0.7118 0.3100 0.3727
S 0.7882 0.1273 0.1900
S 0.8100 0.2118 0.8727
S 0.8265 0.0884 0.5943
S 0.8364 0.6499 0.4541
S 0.8501 0.6636 0.0459
S 0.8727 0.8100 0.2118
S 0.8856 0.4144 0.9204
S 0.9057 0.4116 0.6735
S 0.9116 0.4057 0.1735
S 0.9144 0.3856 0.4204
S 0.9204 0.8856 0.4144
S 0.9541 0.1499 0.3364


Entry 5:
This record from Materials Project describes crystalline Lu5In4Ni2 at its relaxed geometry. The functional is PBE.

Calculated values
E: -4.624 eV/atom
energy of formation: -0.52 eV per atom

Cell lengths 7.8805, 17.6664, 3.5317 Å; angles 90.00, 90.00, 90.00 degrees
Element x y z (fractional)
Lu 0.0000 0.0000 0.0000
Lu 0.1160 0.4119 0.0000
Lu 0.2454 0.2206 0.0000
Lu 0.2546 0.7206 0.0000
Lu 0.3840 0.9119 0.0000
Lu 0.5000 0.5000 0.0000
Lu 0.6160 0.0881 0.0000
Lu 0.7454 0.2794 0.0000
Lu 0.7546 0.7794 0.0000
Lu 0.8840 0.5881 0.0000
In 0.0751 0.8481 0.5000
In 0.2063 0.5678 0.5000
In 0.2937 0.0678 0.5000
In 0.4249 0.3481 0.5000
In 0.5751 0.6519 0.5000
In 0.7063 0.9322 0.5000
In 0.7937 0.4322 0.5000
In 0.9249 0.1519 0.5000
Ni 0.0241 0.3035 0.5000
Ni 0.4759 0.8035 0.5000
Ni 0.5241 0.1965 0.5000
Ni 0.9759 0.6965 0.5000


Entry 6:
This record from Materials Project describes crystalline YFe6Sn6 at its relaxed geometry. The functional is PBE.

Calculated values
E: -6.367 eV/atom
spin magnetization: 38.3 μB per cell
energy of formation: -0.11 eV per atom

Cell lengths 15.0679, 15.0679, 15.0679 Å; angles 159.35, 145.27, 40.75 degrees
Element x y z (fractional)
Y 0.0000 0.0000 0.0000
Y 0.1683 0.6683 0.5000
Y 0.8317 0.3317 0.5000
Fe 0.0000 0.0000 0.5000
Fe 0.0000 0.5000 0.0000
Fe 0.0813 0.8335 0.2478
Fe 0.1634 0.1660 0.4965
Fe 0.1634 0.6668 0.9974
Fe 0.2458 0.5000 0.7458
Fe 0.3305 0.3332 0.4965
Fe 0.3305 0.8340 0.9974
Fe 0.4143 0.1665 0.2478
Fe 0.5000 0.0000 0.0000
Fe 0.5000 0.5000 0.5000
Fe 0.5857 0.8335 0.7522
Fe 0.6695 0.1660 0.0026
Fe 0.6695 0.6668 0.5035
Fe 0.7542 0.5000 0.2542
Fe 0.8366 0.3332 0.0026
Fe 0.8366 0.8340 0.5035
Fe 0.9187 0.1665 0.7522
Sn 0.0560 0.5560 0.5000
Sn 0.1122 0.1122 0.0000
Sn 0.1701 0.3335 0.8366
Sn 0.2235 0.2235 0.0000
Sn 0.2800 0.7800 0.5000
Sn 0.3358 0.0000 0.3358
Sn 0.3898 0.8898 0.5000
Sn 0.4449 0.4449 0.0000
Sn 0.4968 0.3335 0.1634
Sn 0.5032 0.6665 0.8366
Sn 0.5551 0.5551 0.0000
Sn 0.6102 0.1102 0.5000
Sn 0.6642 0.0000 0.6642
Sn 0.7200 0.2200 0.5000
Sn 0.7765 0.7765 0.0000
Sn 0.8299 0.6665 0.1634
Sn 0.8878 0.8878 0.0000
Sn 0.9440 0.4440 0.5000


Entry 7:
This record from Materials Project describes crystalline Bi9Rh2I3 at its relaxed geometry. The functional is PBE.

Calculated values
E: -4.107 eV/atom
spin magnetization: 0.0 μB per cell
energy of formation: -0.31 eV per atom

Cell lengths 8.1497, 13.8974, 9.2497 Å; angles 90.00, 111.00, 90.00 degrees
Element x y z (fractional)
Bi 0.0952 0.2500 0.1733
Bi 0.1384 0.5378 0.8140
Bi 0.1384 0.9622 0.8140
Bi 0.1633 0.2500 0.8440
Bi 0.1805 0.6350 0.3735
Bi 0.1805 0.8650 0.3735
Bi 0.2841 0.7500 0.1137
Bi 0.3047 0.0327 0.1474
Bi 0.3047 0.4673 0.1474
Bi 0.6953 0.5327 0.8526
Bi 0.6953 0.9673 0.8526
Bi 0.7159 0.2500 0.8863
Bi 0.8195 0.1350 0.6265
Bi 0.8195 0.3650 0.6265
Bi 0.8367 0.7500 0.1560
Bi 0.8616 0.0378 0.1860
Bi 0.8616 0.4622 0.1860
Bi 0.9048 0.7500 0.8267
Rh 0.0228 0.6004 0.0549
Rh 0.0228 0.8996 0.0549
Rh 0.9772 0.1004 0.9451
Rh 0.9772 0.3996 0.9451
I 0.3239 0.0985 0.5737
I 0.3239 0.4015 0.5737
I 0.4132 0.7500 0.7868
I 0.5868 0.2500 0.2132
I 0.6761 0.5985 0.4263
I 0.6761 0.9015 0.4263


Entry 8:
This record from Materials Project describes crystalline Na2US3 at its relaxed geometry. The functional is PBE.

Calculated values
E: -5.763 eV/atom
energy of formation: -1.62 eV per atom

Cell lengths 6.9948, 6.9948, 7.0290 Å; angles 99.65, 99.65, 119.96 degrees
Element x y z (fractional)
Na 0.0000 0.0000 0.0000
Na 0.1604 0.8396 0.5000
Na 0.5000 0.5000 0.5000
Na 0.8396 0.1604 0.5000
U 0.3329 0.6671 0.0000
U 0.6671 0.3329 0.0000
S 0.0762 0.4329 0.2262
S 0.2796 0.2796 0.7712
S 0.4329 0.0762 0.2262
S 0.5671 0.9238 0.7738
S 0.7204 0.7204 0.2288
S 0.9238 0.5671 0.7738